# ErGeIr r2SCAN relaxed
# total DFT energy (no corrections)	-34.449	eV per atom
# total moment	0.0	μB/cell
# space-group type	No. 62
# energy of formation	-1.06	eV/atom
data_ErGeIr
_cell_length_a 4.255
_cell_length_b 6.793
_cell_length_c 7.556
_cell_angle_alpha 90.00
_cell_angle_beta 90.00
_cell_angle_gamma 90.00
_space_group_name_H-M_alt 'P 1'
_space_group_IT_number 1
_space_group_name_Hall 'P 1'
loop_
_atom_site_label
_atom_site_type_symbol
_atom_site_fract_x
_atom_site_fract_y
_atom_site_fract_z
Er1 Er 0.750 0.494 0.193
Ge1 Ge 0.750 0.209 0.888
Er2 Er 0.250 0.506 0.807
Ir1 Ir 0.750 0.840 0.935
Ir2 Ir 0.250 0.160 0.065
Er3 Er 0.750 0.994 0.307
Ir3 Ir 0.250 0.660 0.435
Ge2 Ge 0.750 0.709 0.612
Ge3 Ge 0.250 0.291 0.388
Ge4 Ge 0.250 0.791 0.112
Ir4 Ir 0.750 0.340 0.565
Er4 Er 0.250 0.006 0.693